Entry 1:
The following is a DFT calculation (GGA-PBE) of an optimized crystal structure of CaTi3P3O13.

Summary:
- calculated total energy (eV for the cell shown) = -317.2
- ρ (g/cm³) = 3.13
- crystal system = monoclinic

a = 7.755 Å, b = 6.474 Å, c = 10.405 Å
α = 90.00°, β = 99.78°, γ = 90.00°
Space group P2_1/m (No. 11)
Symmetry-distinct sites (fractional):
Ca: 0.150 0.250 0.191 x2
Ti: 0.149 0.250 0.800 x2
Ti: 0.293 0.750 0.436 x2
Ti: 0.500 0.000 0.000 x2
P: 0.182 0.750 0.115 x2
P: 0.237 0.750 0.761 x2
P: 0.281 0.250 0.509 x2
O: 0.005 0.250 0.965 x2
O: 0.121 0.564 0.785 x4
O: 0.140 0.750 0.258 x2
O: 0.159 0.250 0.610 x2
O: 0.251 0.061 0.416 x4
O: 0.285 0.750 0.625 x2
O: 0.287 0.551 0.097 x4
O: 0.366 0.250 0.905 x2
O: 0.409 0.750 0.865 x2
O: 0.474 0.250 0.584 x2


Entry 2:
The following is a DFT calculation (GGA-PBE) of an optimized crystal structure of NbSe2.

Summary:
- calculated total energy (eV for the cell shown) = -78.3
- ρ (g/cm³) = 6.02
- crystal system = hexagonal

a = 3.4800 Å, b = 3.4800 Å, c = 26.3968 Å
α = 90.00°, β = 90.00°, γ = 120.00°
Space group P-6m2 (No. 187)
Symmetry-distinct sites (fractional):
Nb: 0.0000 0.0000 0.0000 x1
Nb: 0.0000 0.0000 0.2499 x2
Nb: 0.3333 0.6667 0.5000 x1
Se: 0.3333 0.6667 0.0638 x2
Se: 0.3333 0.6667 0.3138 x2
Se: 0.6667 0.3333 0.1862 x2
Se: 0.6667 0.3333 0.4363 x2


Entry 3:
The following is a DFT calculation (GGA-PBE) of an optimized crystal structure of Sr4CaY2Ru2O12.

Summary:
- calculated total energy (eV for the cell shown) = -148.7
- E above lowest polymorph (meV/atom) = 0
- ρ (g/cm³) = 5.18
- crystal system = triclinic

a = 6.037 Å, b = 6.217 Å, c = 8.266 Å
α = 87.22°, β = 87.12°, γ = 85.72°
Space group P1 (No. 1)
Symmetry-distinct sites (fractional):
Sr: 0.000 0.000 0.000 x1
Sr: 0.069 0.886 0.502 x1
Sr: 0.604 0.357 0.503 x1
Sr: 0.713 0.551 0.059 x1
Ca: 0.442 0.258 0.923 x1
Y: 0.142 0.450 0.270 x1
Y: 0.540 0.847 0.739 x1
Ru: 0.057 0.421 0.754 x1
Ru: 0.584 0.938 0.263 x1
O: 0.006 0.444 0.519 x1
O: 0.110 0.405 0.005 x1
O: 0.254 0.115 0.734 x1
O: 0.304 0.119 0.292 x1
O: 0.353 0.569 0.720 x1
O: 0.418 0.649 0.304 x1
O: 0.530 0.914 0.011 x1
O: 0.653 0.953 0.497 x1
O: 0.746 0.206 0.212 x1
O: 0.783 0.264 0.801 x1
O: 0.885 0.710 0.788 x1
O: 0.892 0.753 0.237 x1


Entry 4:
The following is a DFT calculation (GGA-PBE) of an optimized crystal structure of Sr2SnH8O8.

Summary:
- calculated total energy (eV for the cell shown) = -206.6
- E above lowest polymorph (meV/atom) = 46
- ρ (g/cm³) = 3.47
- crystal system = monoclinic

a = 6.864 Å, b = 10.508 Å, c = 6.170 Å
α = 90.00°, β = 112.22°, γ = 90.00°
Space group P2_1/c (No. 14)
Symmetry-distinct sites (fractional):
Sr: 0.217 0.134 0.363 x4
Sn: 0.500 0.000 0.000 x2
H: 0.043 0.125 0.857 x4
H: 0.196 0.591 0.156 x4
H: 0.234 0.615 0.649 x4
H: 0.417 0.736 0.373 x4
O: 0.005 0.687 0.555 x4
O: 0.203 0.504 0.216 x4
O: 0.366 0.562 0.733 x4
O: 0.453 0.187 0.088 x4


Entry 5:
The following is a DFT calculation (GGA-PBE) of an optimized crystal structure of Mn2As.

Summary:
- calculated total energy (eV for the cell shown) = -47.0
- ρ (g/cm³) = 7.41
- crystal system = tetragonal

a = 3.615 Å, b = 3.615 Å, c = 6.335 Å
α = 90.00°, β = 90.00°, γ = 90.00°
Space group P4/nmm (No. 129, origin choice 2)
Symmetry-distinct sites (fractional):
Mn: 0.250 0.250 0.147 x2
Mn: 0.250 0.750 0.500 x2
As: 0.250 0.250 0.762 x2


Entry 6:
The following is a DFT calculation (GGA-PBE) of an optimized crystal structure of BaH2O2.

Summary:
- calculated total energy (eV for the cell shown) = -220.1
- ρ (g/cm³) = 4.46
- crystal system = monoclinic

a = 6.816 Å, b = 7.917 Å, c = 11.249 Å
α = 90.00°, β = 122.75°, γ = 90.00°
Space group P2_1/c (No. 14)
Symmetry-distinct sites (fractional):
Ba: 0.036 0.047 0.316 x4
Ba: 0.354 0.646 0.606 x4
H: 0.187 0.225 0.619 x4
H: 0.201 0.151 0.978 x4
H: 0.431 0.049 0.618 x4
H: 0.464 0.738 0.414 x4
O: 0.116 0.162 0.105 x4
O: 0.266 0.141 0.918 x4
O: 0.299 0.501 0.120 x4
O: 0.316 0.707 0.843 x4


Entry 7:
The following is a DFT calculation (GGA-PBE) of an optimized crystal structure of Na2LiN.

Summary:
- calculated total energy (eV for the cell shown) = -23.5
- ρ (g/cm³) = 2.18
- crystal system = tetragonal

a = 4.081 Å, b = 4.081 Å, c = 6.130 Å
α = 90.00°, β = 90.00°, γ = 90.00°
Space group P4/nmm (No. 129, origin choice 2)
Symmetry-distinct sites (fractional):
Na: 0.250 0.250 0.202 x2
Na: 0.250 0.750 0.500 x2
Li: 0.250 0.750 0.000 x2
N: 0.250 0.250 0.793 x2


Entry 8:
The following is a DFT calculation (GGA-PBE) of an optimized crystal structure of TiTl4S4.

Summary:
- calculated total energy (eV for the cell shown) = -161.3
- E above lowest polymorph (meV/atom) = 8
- ρ (g/cm³) = 5.98
- crystal system = triclinic

a = 8.453 Å, b = 8.562 Å, c = 15.843 Å
α = 105.67°, β = 90.00°, γ = 90.00°
Space group P1 (No. 1)
Symmetry-distinct sites (fractional):
Ti: 0.000 0.000 0.000 x1
Ti: 0.218 0.578 0.248 x1
Ti: 0.489 0.578 0.744 x1
Ti: 0.714 0.994 0.501 x1
Tl: 0.010 0.966 0.243 x1
Tl: 0.095 0.757 0.488 x1
Tl: 0.118 0.815 0.758 x1
Tl: 0.204 0.607 0.001 x1
Tl: 0.289 0.196 0.729 x1
Tl: 0.333 0.171 0.479 x1
Tl: 0.389 0.175 0.983 x1
Tl: 0.423 0.195 0.229 x1
Tl: 0.504 0.609 0.501 x1
Tl: 0.595 0.819 0.255 x1
Tl: 0.611 0.764 0.992 x1
Tl: 0.711 0.966 0.744 x1
Tl: 0.786 0.379 0.016 x1
Tl: 0.827 0.405 0.262 x1
Tl: 0.887 0.407 0.766 x1
Tl: 0.927 0.374 0.512 x1
S: 0.047 0.169 0.920 x1
S: 0.162 0.402 0.323 x1
S: 0.210 0.968 0.083 x1
S: 0.276 0.831 0.337 x1
S: 0.283 0.493 0.662 x1
S: 0.427 0.490 0.158 x1
S: 0.439 0.834 0.837 x1
S: 0.503 0.967 0.582 x1
S: 0.552 0.410 0.825 x1
S: 0.664 0.166 0.416 x1
S: 0.719 0.605 0.663 x1
S: 0.776 0.740 0.410 x1
S: 0.784 0.083 0.083 x1
S: 0.931 0.090 0.589 x1
S: 0.938 0.748 0.908 x1
S: 0.996 0.608 0.162 x1


Entry 9:
The following is a DFT calculation (GGA-PBE) of an optimized crystal structure of V3Cr.

Summary:
- calculated total energy (eV for the cell shown) = -148.1
- ρ (g/cm³) = 6.60
- crystal system = cubic

a = 5.907 Å, b = 5.907 Å, c = 5.907 Å
α = 90.00°, β = 90.00°, γ = 90.00°
Space group Fm-3m (No. 225)
Symmetry-distinct sites (fractional):
V: 0.000 0.000 0.000 x4
V: 0.250 0.250 0.250 x8
Cr: 0.000 0.000 0.500 x4


Entry 10:
The following is a DFT calculation (GGA-PBE) of an optimized crystal structure of NdSb2Au.

Summary:
- calculated total energy (eV for the cell shown) = -38.2
- ρ (g/cm³) = 9.43
- crystal system = tetragonal

a = 4.446 Å, b = 4.446 Å, c = 10.423 Å
α = 90.00°, β = 90.00°, γ = 90.00°
Space group P4/nmm (No. 129, origin choice 2)
Symmetry-distinct sites (fractional):
Nd: 0.250 0.250 0.245 x2
Sb: 0.250 0.250 0.679 x2
Sb: 0.250 0.750 0.000 x2
Au: 0.250 0.750 0.500 x2


Entry 11:
The following is a DFT calculation (GGA-PBE) of an optimized crystal structure of Rb3NdCl6O2.

Summary:
- calculated total energy (eV for the cell shown) = -272.6
- ρ (g/cm³) = 2.93
- crystal system = hexagonal

a = 12.2825 Å, b = 12.2825 Å, c = 16.8234 Å
α = 90.00°, β = 90.00°, γ = 120.00°
Space group P6_3/m (No. 176)
Symmetry-distinct sites (fractional):
Rb: 0.0000 0.0000 0.0000 x2
Rb: 0.0657 0.6203 0.1158 x12
Rb: 0.3333 0.6667 0.6073 x4
Nd: 0.0346 0.8056 0.7500 x6
Cl: 0.0280 0.8520 0.1521 x12
Cl: 0.1277 0.4233 0.0305 x12
Cl: 0.1346 0.4611 0.2500 x6
Cl: 0.1787 0.4512 0.7500 x6
O: 0.0268 0.6641 0.6430 x12


Entry 12:
The following is a DFT calculation (GGA-PBE) of an optimized crystal structure of Cs2TiGe3O9.

Summary:
- calculated total energy (eV for the cell shown) = -196.9
- ρ (g/cm³) = 4.59
- crystal system = hexagonal

a = 7.3177 Å, b = 7.3177 Å, c = 10.5454 Å
α = 90.00°, β = 90.00°, γ = 120.00°
Space group P6_3/m (No. 176)
Symmetry-distinct sites (fractional):
Cs: 0.3333 0.6667 0.0587 x4
Ti: 0.0000 0.0000 0.0000 x2
Ge: 0.1424 0.3696 0.7500 x6
O: 0.0380 0.2388 0.6073 x12
O: 0.0706 0.5748 0.7500 x6


Entry 13:
The following is a DFT calculation (GGA-PBE) of an optimized crystal structure of CsZnBP2O8.

Summary:
- calculated total energy (eV for the cell shown) = -176.7
- ρ (g/cm³) = 3.40
- crystal system = triclinic

a = 7.605 Å, b = 8.019 Å, c = 8.136 Å
α = 117.78°, β = 102.89°, γ = 104.69°
Space group P-1 (No. 2)
Symmetry-distinct sites (fractional):
Cs: 0.236 0.353 0.095 x2
Zn: 0.297 0.707 0.757 x2
B: 0.202 0.934 0.431 x2
P: 0.058 0.229 0.438 x2
P: 0.460 0.903 0.229 x2
O: 0.048 0.761 0.414 x2
O: 0.081 0.798 0.750 x2
O: 0.101 0.031 0.351 x2
O: 0.250 0.424 0.554 x2
O: 0.292 0.829 0.294 x2
O: 0.345 0.089 0.642 x2
O: 0.405 0.725 0.012 x2
O: 0.487 0.112 0.259 x2